1.
Below is NaPrZrNbO6 after structural relaxation, with properties calculated at the PBE level.

```
NaPrZrNbO6
1.0
0.0000 -4.1038 -4.1038
4.1038 0.0000 -4.1038
4.1038 -4.1038 0.0000
O Nb Na Pr Zr
6 1 1 1 1
Cartesian
4.1038 -4.1038 -2.0169
6.1908 -4.1038 -4.1038
4.1038 -2.0169 -4.1038
2.0169 -4.1038 -4.1038
4.1038 -4.1038 -6.1908
4.1038 -6.1908 -4.1038
0.0000 0.0000 0.0000
2.0519 -2.0519 -2.0519
6.1558 -6.1558 -6.1558
4.1038 -4.1038 -4.1038
```

- Formation enthalpy at 0 K: -3031 kJ/mol of formula units
- Crystal system: cubic
- Electronic total energy: -8.17 eV per atom

---

2.
Below is K3ReClF6 after structural relaxation, with properties calculated at the PBE level.

```
K3ReClF6
1.0
-5.2075 6.0320 -2.7642
-5.1742 -5.8914 -3.1083
-3.0000 -0.1613 5.2997
F K Cl Re
12 6 2 2
Cartesian
-10.0584 -1.6567 -0.4298
-3.3233 1.6359 -0.1431
-4.3348 3.0394 -2.3612
-8.5050 -1.5732 -3.1740
-7.3502 3.0315 -2.3801
-4.8767 1.5524 2.6011
-6.0470 -2.8989 -3.5112
-6.0316 -3.0523 1.8072
-7.7891 1.0982 -4.3757
-4.4781 -2.9688 -0.9370
-2.5927 -0.9576 -1.4968
-8.9036 2.9480 0.3641
-6.0297 2.9614 0.1783
-4.0933 -0.8144 1.1595
-5.1909 0.0703 -2.9362
-7.3520 -2.9822 -0.7511
-9.2884 0.7936 -1.7323
0.0000 0.0000 0.0000
-1.5000 -0.0807 2.6498
-6.6909 -0.0104 -0.2864
-2.6038 3.0160 -1.3821
-2.5871 -2.9457 -1.5542
```

- Formation enthalpy at 0 K: -2772 kJ/mol of formula units
- Crystal system: tetragonal
- Electronic total energy: -5.01 eV per atom

---

3.
Below is ZrIn3 after structural relaxation, with properties calculated at the PBE level.

```
ZrIn3
1.0
-3.0131 1.6425 2.7211
0.9634 -3.1012 2.9386
7.6641 6.4730 1.0549
In Zr
6 2
Cartesian
-1.5065 0.8212 1.3606
3.8013 1.3212 3.4117
4.9823 4.3102 2.9153
0.4817 -1.5506 1.4693
0.6321 0.7041 3.7994
1.8131 3.6931 3.3029
1.5782 1.3653 0.9234
4.0362 3.6490 5.7912
```

- Formation enthalpy at 0 K: -80 kJ/mol of formula units
- Crystal system: tetragonal
- Electronic total energy: -4.41 eV per atom

---

4.
Below is CaCu2N2 after structural relaxation, with properties calculated at the PBE level.

```
CaCu2N2
1.0
3.5934 0.0000 0.0000
0.0000 3.5934 0.0000
0.0000 0.0000 6.1969
N Cu Ca
2 2 1
Cartesian
0.0000 1.7967 1.6031
1.7967 0.0000 4.5938
0.0000 0.0000 4.3987
0.0000 0.0000 1.7983
1.7967 1.7967 0.0000
```

- Formation enthalpy at 0 K: 50 kJ/mol of formula units
- Crystal system: tetragonal
- Electronic total energy: -5.13 eV per atom

---

5.
Below is Al2O3 after structural relaxation, with properties calculated at the PBE level.

```
Al2O3
1.0
-9.5144 2.5205 3.9927
-3.9023 -2.0234 -9.1244
-0.8933 -9.5029 3.1148
O Al
60 40
Cartesian
-9.4539 -2.1671 -1.2624
-5.1978 -1.8500 -3.8984
-10.4448 -4.5110 0.1879
-11.9347 -2.7026 -0.5480
-9.0769 -0.9272 -4.7511
-3.1145 -7.0844 0.9436
-5.2084 -4.6917 -4.5826
-5.1496 -0.0823 1.4229
-5.9905 -7.6858 2.0525
-3.9890 -7.9697 3.4228
-6.7924 -6.6138 -2.9725
-3.8827 -5.4165 3.3192
-1.2466 -5.6369 1.2684
-6.4007 -2.7058 -6.3898
-5.3429 -7.8328 -4.9054
-1.0988 -3.1762 -0.0811
-6.3551 -2.4509 -0.0902
-3.5307 -2.7792 -1.9084
-10.2675 -2.9591 -3.4882
-12.2107 -7.7819 -3.2433
-10.8577 -6.3388 4.8699
-6.4038 -6.9866 4.7009
-10.4125 -5.7183 -4.0312
-11.2109 -8.2015 1.9684
-5.2151 -0.5709 -1.7645
-3.5658 -9.8023 -0.7294
-9.1015 -6.4405 1.0625
-7.7513 -4.6327 -4.8455
-6.6916 -5.3472 2.8299
-9.4252 -7.1088 -1.7231
-8.0769 -1.0800 1.2036
-11.8765 -5.2315 -1.8091
-6.2781 -5.7475 -6.7465
-7.4316 -2.3516 -3.1422
-9.1127 -7.5807 3.4047
-10.2545 -2.5801 1.8815
-8.1290 -3.9618 0.9319
-12.9648 -2.5812 -2.9696
-11.1857 -4.8838 2.6778
-5.4020 -9.9078 -3.1671
-12.5787 -7.6635 -0.6344
-3.7044 -5.9896 -2.1080
-4.6656 -4.6512 0.6455
-7.9504 -9.2340 -3.3529
-3.6563 -2.1881 0.5806
-3.3059 -8.4655 -2.9276
-3.3625 -2.6047 -5.6816
-2.8313 -0.4280 -1.1852
-6.9339 -5.8844 -0.2390
-8.8969 -4.5891 3.5857
-8.1216 -0.1062 -2.1498
-9.0254 -4.6039 -1.9639
-8.2865 -1.7406 3.7755
-10.4278 0.4085 1.7677
-6.1408 -2.8422 2.4553
-5.4346 -10.4722 -5.7705
-5.0902 -7.4517 -0.8005
-12.0830 -0.8274 -5.0639
-5.7248 -4.1728 -1.9338
-7.3307 -8.6317 -0.6677
-9.5100 -1.0617 2.4024
-5.0326 -1.9152 -5.6966
-6.5808 -0.7205 -2.9260
-11.0470 -7.7604 3.7560
-3.4549 -7.7747 -1.3209
-9.1492 -4.4818 -3.7249
-4.3834 0.2546 -0.3022
-10.6565 -4.6125 4.3454
-13.2550 -8.6183 -1.9789
-10.6152 -3.6664 -1.4205
-6.3627 -7.5154 0.3480
-5.5072 -5.9408 -1.7588
-7.4457 -3.3917 3.6065
-2.7230 -8.4649 2.0384
-3.2034 -5.3765 1.6078
-3.6112 -8.3890 -4.6428
-7.2247 -4.1861 -6.7276
-3.6277 -4.3204 -5.3622
-0.8424 -3.9699 1.4197
-8.0034 -6.3087 4.1044
-5.3128 -6.5198 3.3395
-10.9950 -6.6243 -2.5492
-9.4845 -8.0541 1.6772
-8.6469 -0.7006 -6.4178
-9.5941 -4.7146 1.7795
-6.1242 -3.5097 -3.5368
-4.7661 -3.2343 -0.6314
-9.0341 -1.5412 -3.0153
-6.4686 -6.3055 -4.8344
-3.3827 -10.3160 -2.7348
-6.4106 -4.4810 1.2518
-8.2572 -2.4043 -0.0155
-6.4168 -9.4033 -4.5496
-8.8145 -5.7052 -0.5572
-11.6641 -3.2789 1.1059
-11.7646 -2.3403 -4.3232
-2.2439 -2.1189 -0.8497
-3.8143 -1.2085 -2.7858
-7.8718 -7.9065 -2.2178
-6.3363 -1.4134 1.4048
```

- Formation enthalpy at 0 K: -1555 kJ/mol of formula units
- Crystal system: triclinic
- Electronic total energy: -7.28 eV per atom

---

6.
Below is Rb2LiNbF6 after structural relaxation, with properties calculated at the PBE level.

```
Rb2LiNbF6
1.0
0.0000 4.2715 4.2715
4.2715 0.0000 4.2715
4.2715 4.2715 0.0000
F Rb Nb Li
6 2 1 1
Cartesian
4.2715 6.4225 4.2715
4.2715 4.2715 6.4225
4.2715 4.2715 2.1206
6.4225 4.2715 4.2715
2.1206 4.2715 4.2715
4.2715 2.1206 4.2715
6.4073 6.4073 6.4073
2.1358 2.1358 2.1358
0.0000 0.0000 0.0000
4.2715 4.2715 4.2715
```

- Formation enthalpy at 0 K: -2916 kJ/mol of formula units
- Crystal system: cubic
- Electronic total energy: -5.29 eV per atom

---

7.
Below is Li2AlAg after structural relaxation, with properties calculated at the PBE level.

```
Li2AlAg
1.0
-3.1586 -3.1586 0.0000
-3.1586 0.0000 -3.1586
0.0000 -3.1586 -3.1586
Al Li Ag
1 2 1
Cartesian
0.0000 0.0000 0.0000
-4.7379 -4.7379 -4.7379
-3.1586 -3.1586 -3.1586
-1.5793 -1.5793 -1.5793
```

- Formation enthalpy at 0 K: -95 kJ/mol of formula units
- Crystal system: cubic
- Electronic total energy: -2.85 eV per atom

---

8.
Below is Ti4Ru after structural relaxation, with properties calculated at the PBE level.

```
Ti4Ru
1.0
3.5974 -5.9691 8.9021
3.9761 -3.3335 9.8839
-2.4452 -1.1753 0.8325
Ti Ru
4 1
Cartesian
1.6586 -4.5044 8.1865
5.6006 -7.7021 15.2505
3.4697 -5.9735 11.4320
-0.4723 -2.7758 4.3680
0.0000 0.0000 0.0000
```

- Formation enthalpy at 0 K: -63 kJ/mol of formula units
- Crystal system: orthorhombic
- Electronic total energy: -8.30 eV per atom

---

9.
Below is SmCo2Cu3 after structural relaxation, with properties calculated at the PBE level.

```
SmCo2Cu3
1.0
2.4734 -4.2841 0.0000
2.4734 4.2841 0.0000
0.0000 0.0000 4.1178
Sm Co Cu
1 2 3
Cartesian
0.0000 0.0000 0.0000
2.4734 -1.4280 0.0000
2.4734 1.4280 0.0000
1.2367 -2.1420 2.0589
2.4734 0.0000 2.0589
1.2367 2.1420 2.0589
```

- Formation enthalpy at 0 K: -19 kJ/mol of formula units
- Crystal system: hexagonal
- Electronic total energy: -5.24 eV per atom

---

10.
Below is Ti2GaFe after structural relaxation, with properties calculated at the PBE level.

```
Ti2GaFe
1.0
-2.4444 -0.0074 3.5640
-1.0065 3.7295 1.9377
-4.0532 1.4915 -0.1566
Ti Fe Ga
2 1 1
Cartesian
-1.8760 1.3034 1.3363
0.0000 0.0000 0.0000
-3.7520 2.6068 2.6726
-5.6280 3.9102 4.0088
```

- Formation enthalpy at 0 K: -92 kJ/mol of formula units
- Crystal system: cubic
- Electronic total energy: -7.06 eV per atom

---

11.
Below is Pr5Co19 after structural relaxation, with properties calculated at the PBE level.

```
Pr5Co19
1.0
-2.5331 -4.3874 0.0000
2.5331 -4.3874 0.0000
0.0000 -2.9250 16.1477
Co Pr
19 5
Cartesian
-1.2670 -5.1184 14.1742
0.0000 -8.7749 12.1558
0.0000 -4.4131 5.9046
0.0000 -5.8499 8.0738
1.2670 -6.5814 1.9735
1.2443 -5.1315 10.2431
-1.2670 -6.5814 1.9735
0.0000 -5.8499 16.1378
0.0000 -2.9250 3.9919
-1.2443 -6.5683 5.9046
1.2443 -6.5683 5.9046
0.0000 -5.8499 0.0099
1.2670 -5.1184 14.1742
0.0000 -5.8499 3.9449
-1.2443 -5.1315 10.2431
0.0000 -7.3129 14.1742
0.0000 -4.3869 1.9735
0.0000 -7.2867 10.2431
0.0000 -5.8499 12.2028
0.0000 -2.9250 12.2997
0.0000 -8.7749 7.4065
0.0000 0.0000 0.0000
0.0000 -8.7749 3.8479
0.0000 -2.9250 8.7412
```

- Formation enthalpy at 0 K: -54 kJ/mol of formula units
- Crystal system: trigonal
- Electronic total energy: -6.65 eV per atom

---

12.
Below is TiNbBi3O9 after structural relaxation, with properties calculated at the PBE level.

```
TiNbBi3O9
1.0
-1.9331 1.9331 12.6596
1.9331 -1.9331 12.6596
1.9331 1.9331 -12.6596
Bi O Nb Ti
3 9 1 1
Cartesian
0.0000 0.0000 5.0827
0.0000 0.0000 24.9846
0.0000 0.0000 20.2672
0.0000 1.9331 2.0007
0.0000 1.9331 10.7485
1.9331 0.0000 10.7485
0.0000 0.0000 12.6631
1.9331 0.0000 6.3603
0.0000 1.9331 6.3603
1.9331 0.0000 2.0007
0.0000 0.0000 16.8346
0.0000 0.0000 8.5826
0.0000 0.0000 14.9150
0.0000 0.0000 10.3664
```

- Offset from the most stable computed form: 0.065 eV per atom
- Formation enthalpy at 0 K: -3198 kJ/mol of formula units
- Crystal system: tetragonal
- Electronic total energy: -7.23 eV per atom

---

13.
Below is CdOsO3 after structural relaxation, with properties calculated at the PBE level.

```
CdOsO3
1.0
-1.0040 3.6571 1.0789
-1.6517 0.5884 -3.5316
-3.4366 -1.3512 1.3822
Cd O Os
1 3 1
Cartesian
0.0000 0.0000 0.0000
-2.2203 1.1530 1.2305
-2.5442 -0.3814 -1.0747
-1.3279 2.1228 -1.2264
-3.0462 1.4472 -0.5353
```

- Formation enthalpy at 0 K: -503 kJ/mol of formula units
- Crystal system: cubic
- Electronic total energy: -6.03 eV per atom

---

14.
Below is CuPO4 after structural relaxation, with properties calculated at the PBE level.

```
CuPO4
1.0
-1.7162 -8.3498 1.2942
2.0299 0.2495 4.3014
-4.6453 1.8846 5.9992
Cu O P
4 16 4
Cartesian
0.0000 0.0000 0.0000
-3.1807 -3.2326 3.6467
0.1569 -4.0501 2.7978
-1.3077 1.0671 5.1503
-2.1435 -1.4397 8.4255
-2.1782 -6.4380 5.0204
-2.6881 0.9519 8.8735
-1.6435 -7.1675 2.7213
-2.1534 0.2223 6.5744
-0.2111 -2.5703 3.8616
-3.4843 -3.8810 5.3575
-4.8810 -5.6351 6.4481
0.5494 -0.5805 5.1467
-3.9758 -3.1739 10.2845
-2.2574 -0.0508 3.9923
-2.1881 -4.7759 3.1693
-0.8473 -2.3346 6.2373
-4.1205 -3.6453 7.7332
-2.0742 -6.1649 7.6024
-0.3558 -3.0418 1.3103
-4.6607 -4.0822 6.3374
-2.5905 -6.2530 3.5282
-1.7411 0.0373 8.0666
0.3291 -2.1335 5.2574
```

- Formation enthalpy at 0 K: -1085 kJ/mol of formula units
- Crystal system: monoclinic
- Electronic total energy: -6.30 eV per atom

---

15.
Below is LuPb2 after structural relaxation, with properties calculated at the PBE level.

```
LuPb2
1.0
6.2875 -0.3923 -1.6480
5.2247 -1.6659 3.5114
-6.1042 -1.5623 -1.6431
Pb Lu
2 1
Cartesian
3.9190 -0.7007 0.6343
7.5932 -1.3576 1.2290
0.0000 0.0000 0.0000
```

- Formation enthalpy at 0 K: -41 kJ/mol of formula units
- Crystal system: tetragonal
- Electronic total energy: -4.12 eV per atom